Entry 1:
Computed, not measured: a relaxed Hf5ZrTe8 crystal at the PBE level of DFT.

Calculated values
- crystal system = triclinic

a b c (Å): 10.9804 11.0129 15.7778
angles (deg): 90.00 89.99 60.11
Fractional coordinates of all 56 atoms:
Hf  0.0000  0.0000  0.0000
Hf  0.0003  0.9997  0.2499
Hf  0.0001  0.9991  0.7496
Hf  0.2440  0.6116  0.2500
Hf  0.2440  0.6127  0.9997
Hf  0.2453  0.6112  0.5000
Hf  0.2449  0.6116  0.7507
Hf  0.4894  0.6311  0.8747
Hf  0.4898  0.6313  0.1254
Hf  0.4907  0.6301  0.6247
Hf  0.7330  0.2442  0.3748
Hf  0.7341  0.2434  0.8760
Hf  0.7346  0.2425  0.6250
Hf  0.8572  0.7542  0.0003
Hf  0.8575  0.7542  0.7503
Hf  0.8581  0.7554  0.4997
Hf  0.8762  0.4888  0.8750
Hf  0.8771  0.4883  0.6260
Hf  0.8778  0.4875  0.1249
Hf  0.8775  0.4884  0.3745
Zr  0.4902  0.6299  0.3758
Zr  0.7349  0.2440  0.1247
Zr  0.8588  0.7534  0.2504
Zr  0.9994  0.9994  0.5011
Te  0.0237  0.1775  0.3743
Te  0.0242  0.1778  0.6267
Te  0.0248  0.1759  0.8749
Te  0.0287  0.1742  0.1246
Te  0.0338  0.7892  0.8750
Te  0.0348  0.7872  0.6258
Te  0.0347  0.7893  0.1244
Te  0.0358  0.7884  0.3753
Te  0.0784  0.4645  0.9997
Te  0.0781  0.4648  0.5004
Te  0.0785  0.4646  0.7506
Te  0.0806  0.4607  0.2496
Te  0.3125  0.8336  0.2496
Te  0.3141  0.8325  0.5017
Te  0.3144  0.8330  0.9997
Te  0.3144  0.8327  0.7497
Te  0.4184  0.4080  0.3746
Te  0.4184  0.4116  0.1248
Te  0.4203  0.4096  0.6254
Te  0.4204  0.4095  0.8755
Te  0.6555  0.7770  0.1244
Te  0.6556  0.7786  0.8750
Te  0.6568  0.7777  0.3766
Te  0.6567  0.7781  0.6250
Te  0.7000  0.4534  0.7503
Te  0.6997  0.4553  0.9995
Te  0.7009  0.4544  0.2499
Te  0.7022  0.4524  0.5007
Te  0.7057  0.0688  0.4999
Te  0.7092  0.0670  0.7503
Te  0.7102  0.0649  0.9993
Te  0.7099  0.0669  0.2511

***

Entry 2:
Computed, not measured: a relaxed Li3Nb crystal at the PBE level of DFT.

Calculated values
- E above lowest polymorph (meV per atom) = 0
- crystal system = hexagonal
- total moment (μB per atom) = 0.230

a b c (Å): 5.7453 5.7453 4.5189
angles (deg): 90.00 90.00 120.00
Fractional coordinates of all 8 atoms:
Li  0.1659  0.3318  0.2500
Li  0.1659  0.8341  0.2500
Li  0.3318  0.1659  0.7500
Li  0.6682  0.8341  0.2500
Li  0.8341  0.1659  0.7500
Li  0.8341  0.6682  0.7500
Nb  0.3333  0.6667  0.7500
Nb  0.6667  0.3333  0.2500

***

no.,formation energy (eV per atom)
1,-1.04
2,0.68